DFT (PBE) results for Cs4TlSbCl12 after structural relaxation.

a b c (Å): 10.744 10.744 21.585
angles (deg): 90.00 90.00 90.00
Space group I4_1/amd (No. 141, origin choice 2)
Unique sites:
Cs 0.221 0.000 0.000 (multiplicity 16)
Tl 0.000 0.250 0.875 (multiplicity 4)
Sb 0.000 0.250 0.375 (multiplicity 4)
Cl 0.000 0.004 0.871 (multiplicity 16)
Cl 0.000 0.024 0.376 (multiplicity 16)
Cl 0.000 0.250 0.263 (multiplicity 8)
Cl 0.000 0.250 0.753 (multiplicity 8)

Output
The calculation puts the energy of formation from the pure elements at -1.741 eV/atom. The calculation puts the mass density at 3.4 g cm⁻³. The volume is 2491 Å³/cell.